DFT (PBE) results for a geometry-optimized Cs7CaAu5O2 structure.

Computed properties:
DFT formation energy   -0.583 eV/atom

The structure in POSCAR format:
```
Cs7CaAu5O2
1.0
8.9533 -5.6059 0.0000
8.9533 5.6059 0.0000
-2.1721 0.0000 5.8552
Cs Ca Au O
7 1 5 2
direct
0.0000 0.0000 0.0000
0.0206 0.3819 0.1912
0.1979 0.5768 0.8838
0.3743 0.7558 0.5608
0.3819 0.0206 0.1912
0.5768 0.1979 0.8838
0.7558 0.3743 0.5608
0.7521 0.7521 0.2612
0.1726 0.1726 0.6653
0.3851 0.3851 0.3816
0.5700 0.5700 0.0674
0.7753 0.7753 0.7843
0.9249 0.9249 0.4254
0.3808 0.7467 0.0612
0.7467 0.3808 0.0612
```

DFT (PBE) results for a geometry-optimized Na10Hf4Si9Sn4S3O48 structure.

Computed properties:
DFT formation energy   -2.762 eV/atom

The structure in POSCAR format:
```
Na10Hf4Si9Sn4S3O48
1.0
9.0542 0.0000 0.0000
0.0005 15.6453 0.0000
0.0702 0.0245 22.9777
Na Hf Si Sn S O
30 12 27 12 9 144
direct
0.0000 0.0000 0.0000
0.0000 0.3356 0.6662
0.0039 0.6658 0.3315
0.0067 0.3023 0.3327
0.0526 0.9833 0.3289
0.1780 0.4881 0.5810
0.1874 0.4910 0.0807
0.1868 0.8172 0.2466
0.1879 0.1580 0.9154
0.1912 0.8201 0.7480
0.1958 0.1541 0.4152
0.3663 0.6371 0.4983
0.3706 0.6653 0.8311
0.3747 0.3346 0.1663
0.4960 0.5007 0.9994
0.4976 0.8327 0.6654
0.5038 0.1659 0.3312
0.5055 0.8014 0.3328
0.5521 0.4834 0.3288
0.6774 0.9874 0.5796
0.6842 0.3221 0.7464
0.6858 0.9906 0.0825
0.6867 0.3184 0.2470
0.6870 0.6556 0.9151
0.6959 0.6534 0.4156
0.8247 0.4829 0.8282
0.8658 0.1381 0.4980
0.8685 0.8011 0.8330
0.8751 0.8340 0.1660
0.8767 0.1680 0.8329
0.1778 0.1455 0.7659
0.1854 0.4905 0.7292
0.1885 0.8123 0.8941
0.1896 0.4916 0.2284
0.1924 0.4834 0.9318
0.1947 0.1493 0.5617
0.6750 0.3115 0.1009
0.6841 0.3144 0.8970
0.6867 0.9850 0.7275
0.6885 0.3119 0.3955
0.6977 0.9785 0.9350
0.6993 0.3133 0.6001
0.0377 0.6291 0.8316
0.0380 0.6709 0.4980
0.0428 0.0038 0.1630
0.0456 0.3370 0.8304
0.3305 0.3390 0.3298
0.3308 0.0026 0.6634
0.3354 0.6289 0.3329
0.3350 0.6715 0.9990
0.3896 0.3145 0.9984
0.3965 0.9820 0.3299
0.3975 0.6476 0.6628
0.4768 0.1457 0.1644
0.4775 0.4798 0.8301
0.4853 0.8179 0.4976
0.5396 0.1690 0.4974
0.5407 0.8387 0.8295
0.5436 0.5048 0.1633
0.8312 0.8395 0.3303
0.8320 0.5049 0.6638
0.8353 0.1277 0.3325
0.8353 0.1708 0.9980
0.8939 0.8127 0.9980
0.8954 0.1476 0.6628
0.8960 0.4827 0.3296
0.9766 0.6482 0.1632
0.9806 0.9825 0.8306
0.9858 0.3186 0.4970
0.1743 0.4830 0.4320
0.1749 0.8123 0.0998
0.1875 0.1511 0.0624
0.1887 0.8121 0.3959
0.1928 0.1457 0.2665
0.2006 0.8125 0.5997
0.6745 0.9825 0.4320
0.6788 0.6448 0.7672
0.6863 0.6514 0.0622
0.6900 0.9902 0.2296
0.6929 0.6492 0.5617
0.6939 0.6461 0.2664
0.0390 0.2962 0.1648
0.0416 0.9613 0.4982
0.3341 0.2949 0.6645
0.3338 0.9611 0.9980
0.5384 0.7971 0.1648
0.5399 0.1276 0.8317
0.5407 0.4615 0.4977
0.8339 0.4611 0.9985
0.8364 0.7963 0.6645
0.0020 0.4628 0.2743
0.0109 0.4877 0.6695
0.0125 0.8306 0.3374
0.0145 0.1406 0.3242
0.0162 0.1548 0.0034
0.0612 0.7284 0.4384
0.0616 0.2438 0.2183
0.0618 0.5673 0.8873
0.0659 0.0622 0.1045
0.0657 0.3964 0.7721
0.0669 0.9079 0.5500
0.0769 0.2287 0.5049
0.0769 0.7371 0.1606
0.0788 0.0702 0.8250
0.0791 0.5639 0.1694
0.0786 0.8972 0.8388
0.0897 0.4034 0.4934
0.1080 0.0485 0.5039
0.1084 0.9254 0.4441
0.1121 0.2577 0.1129
0.1125 0.0445 0.2228
0.1135 0.3804 0.1705
0.1136 0.3837 0.8875
0.1148 0.7235 0.8371
0.1163 0.2409 0.8238
0.1197 0.7156 0.5541
0.1199 0.9076 0.1572
0.1209 0.5883 0.7755
0.1303 0.5797 0.4924
0.2509 0.3799 0.3873
0.2532 0.2432 0.3242
0.2530 0.5870 0.2771
0.2538 0.9066 0.6576
0.2577 0.7239 0.3356
0.2600 0.0467 0.0027
0.2606 0.3790 0.6698
0.2616 0.0501 0.7205
0.2621 0.5761 0.9925
0.2626 0.7171 0.0562
0.2633 0.9220 0.9464
0.2638 0.2548 0.6126
0.2877 0.8982 0.3384
0.2891 0.2284 0.0045
0.2912 0.0677 0.3260
0.2938 0.4027 0.9923
0.2953 0.5633 0.6688
0.2972 0.7366 0.6603
0.3024 0.0641 0.6077
0.3068 0.3968 0.2715
0.3084 0.2415 0.7167
0.3085 0.7298 0.9408
0.3115 0.9096 0.0512
0.3181 0.5686 0.3909
0.3618 0.1596 0.5037
0.3641 0.4883 0.1692
0.3640 0.8247 0.8372
0.3728 0.1344 0.1075
0.3737 0.4668 0.7740
0.3772 0.8067 0.1579
0.3784 0.4727 0.4928
0.3794 0.1728 0.2227
0.3793 0.5014 0.8884
0.3806 0.1396 0.8236
0.3824 0.7975 0.4396
0.3860 0.8359 0.5558
0.4933 0.0069 0.3867
0.4947 0.3050 0.6566
0.4945 0.9728 0.9900
0.4963 0.3343 0.0549
0.4969 0.6734 0.7208
0.4982 0.6360 0.6039
0.4990 0.9594 0.2736
0.5010 0.3023 0.9426
0.5102 0.3293 0.3376
0.5101 0.9876 0.6708
0.5144 0.6411 0.3240
0.5168 0.6562 0.0037
0.5610 0.7448 0.2183
0.5663 0.0754 0.8835
0.5667 0.5629 0.1046
0.5688 0.2272 0.4391
0.5700 0.4089 0.5494
0.5725 0.8956 0.7715
0.5768 0.2341 0.1585
0.5775 0.7267 0.5042
0.5807 0.0609 0.1692
0.5808 0.5678 0.8275
0.5906 0.9022 0.4930
0.5928 0.4001 0.8388
0.6060 0.4230 0.4444
0.6072 0.5491 0.5017
0.6108 0.7587 0.1128
0.6117 0.0896 0.7793
0.6125 0.5459 0.2231
0.6143 0.2133 0.8370
0.6137 0.8813 0.1699
0.6180 0.2175 0.5524
0.6184 0.4093 0.1573
0.6199 0.8844 0.8853
0.6225 0.7441 0.8238
0.6320 0.0777 0.4924
0.7498 0.0911 0.2760
0.7513 0.8803 0.3873
0.7540 0.7442 0.3239
0.7561 0.4094 0.6571
0.7595 0.0758 0.9906
0.7603 0.2231 0.3378
0.7596 0.5463 0.0020
0.7615 0.5449 0.7240
0.7626 0.7595 0.6127
0.7625 0.8816 0.6707
0.7640 0.2193 0.0537
0.7655 0.4223 0.9450
0.7880 0.3998 0.3383
0.7887 0.7291 0.0044
0.7903 0.0649 0.6718
0.7912 0.5688 0.3263
0.7941 0.9011 0.9916
0.7956 0.2358 0.6586
0.8047 0.4086 0.0499
0.8067 0.2278 0.9390
0.8081 0.5660 0.6073
0.8115 0.8970 0.2710
0.8133 0.7449 0.7180
0.8185 0.0678 0.3908
0.8588 0.6417 0.8237
0.8587 0.6612 0.5033
0.8622 0.9868 0.1687
0.8627 0.3259 0.8379
0.8692 0.9680 0.7760
0.8720 0.6353 0.1066
0.8758 0.0027 0.8879
0.8781 0.3012 0.4405
0.8794 0.3060 0.1572
0.8791 0.3320 0.5544
0.8793 0.6733 0.2221
0.8794 0.9730 0.4928
0.9914 0.8405 0.0553
0.9932 0.5070 0.3867
0.9951 0.4711 0.9919
0.9969 0.8035 0.9403
0.9971 0.8072 0.6570
0.9980 0.1682 0.7204
0.9992 0.1367 0.6056
```

DFT (PBE) results for a geometry-optimized K4Bi2O5 structure.

Computed properties:
DFT formation energy   -1.695 eV/atom

The structure in POSCAR format:
```
K4Bi2O5
1.0
5.8244 0.0000 0.0000
-2.8027 9.3326 0.0000
-2.6018 -3.7575 8.8489
K Bi O
8 4 10
direct
0.1000 0.0086 0.1848
0.1101 0.7023 0.5435
0.1279 0.3782 0.8663
0.3775 0.7853 0.9514
0.6225 0.2147 0.0486
0.8721 0.6218 0.1337
0.8899 0.2977 0.4565
0.9000 0.9914 0.8152
0.3631 0.4570 0.2700
0.4013 0.1156 0.6259
0.5987 0.8844 0.3741
0.6369 0.5430 0.7300
0.1483 0.2482 0.0797
0.2428 0.8852 0.3912
0.2693 0.5413 0.6984
0.3710 0.9939 0.7652
0.3822 0.6275 0.1696
0.6178 0.3725 0.8304
0.6290 0.0061 0.2348
0.7307 0.4587 0.3016
0.7572 0.1148 0.6088
0.8517 0.7518 0.9203
```

| no. | raw total energy (eV/atom) |
| --- | --- |
| 1 | -2.7945 |
| 2 | -7.0551 |
| 3 | -4.7433 |